1.
DFT (GGA+U) results for a geometry-optimized SrCe3V4O16 structure.

Cell lengths 7.416, 7.416, 6.520 Å; angles 90.00, 90.00, 90.00 degrees
Atoms (fractional coordinates):
Sr  0.000  0.000  0.000
Ce  0.000  0.500  0.752
Ce  0.500  0.000  0.248
Ce  0.500  0.500  0.500
V  0.000  0.000  0.500
V  0.000  0.500  0.253
V  0.500  0.000  0.747
V  0.500  0.500  0.000
O  0.000  0.188  0.661
O  0.000  0.327  0.076
O  0.000  0.673  0.076
O  0.000  0.812  0.661
O  0.183  0.500  0.426
O  0.188  0.000  0.339
O  0.320  0.500  0.827
O  0.327  0.000  0.924
O  0.500  0.183  0.574
O  0.500  0.320  0.173
O  0.500  0.680  0.173
O  0.500  0.817  0.574
O  0.673  0.000  0.924
O  0.680  0.500  0.827
O  0.812  0.000  0.339
O  0.817  0.500  0.426

- E (eV per atom) = -7.988
- size of the total moment (μB/atom) = 0.083
- formation energy (eV per atom) = -3.10

***

2.
DFT (GGA+U) results for a geometry-optimized CeTlW2O8 structure.

Cell lengths 7.746, 7.746, 7.468 Å; angles 116.75, 116.75, 89.71 degrees
Atoms (fractional coordinates):
Ce  0.223  0.777  0.750
Ce  0.777  0.223  0.250
Tl  0.204  0.796  0.250
Tl  0.796  0.204  0.750
W  0.300  0.313  0.784
W  0.313  0.300  0.284
W  0.687  0.700  0.716
W  0.700  0.687  0.216
O  0.048  0.215  0.187
O  0.068  0.382  0.631
O  0.215  0.048  0.687
O  0.248  0.378  0.057
O  0.371  0.585  0.529
O  0.378  0.248  0.557
O  0.382  0.068  0.131
O  0.415  0.629  0.971
O  0.585  0.371  0.029
O  0.618  0.932  0.869
O  0.622  0.752  0.443
O  0.629  0.415  0.471
O  0.752  0.622  0.943
O  0.785  0.952  0.313
O  0.932  0.618  0.369
O  0.952  0.785  0.813

- E (eV per atom) = -7.419
- size of the total moment (μB/atom) = 0.083
- formation energy (eV per atom) = -2.47

***

3.
DFT (GGA+U) results for a geometry-optimized CeTlW2O8 structure.

Cell lengths 8.242, 8.242, 7.690 Å; angles 117.80, 117.80, 92.91 degrees
Atoms (fractional coordinates):
Ce  0.234  0.234  0.413
Ce  0.766  0.766  0.587
Tl  0.220  0.780  0.500
Tl  0.780  0.220  0.500
W  0.258  0.258  0.017
W  0.344  0.656  0.000
W  0.656  0.344  0.000
W  0.742  0.742  0.983
O  0.038  0.038  0.778
O  0.170  0.397  0.851
O  0.177  0.390  0.222
O  0.185  0.681  0.765
O  0.319  0.815  0.235
O  0.390  0.177  0.222
O  0.397  0.170  0.851
O  0.480  0.480  0.796
O  0.520  0.520  0.204
O  0.603  0.830  0.149
O  0.610  0.823  0.778
O  0.681  0.185  0.765
O  0.815  0.319  0.235
O  0.823  0.610  0.778
O  0.830  0.603  0.149
O  0.962  0.962  0.222

- E (eV per atom) = -7.285
- size of the total moment (μB/atom) = 0.083
- formation energy (eV per atom) = -2.33

***

4.
DFT (GGA+U) results for a geometry-optimized CeVO3 structure.

Cell lengths 5.799, 7.837, 5.436 Å; angles 90.00, 90.00, 90.00 degrees
Atoms (fractional coordinates):
Ce  0.069  0.250  0.020
Ce  0.431  0.750  0.520
Ce  0.569  0.250  0.480
Ce  0.931  0.750  0.980
V  0.000  0.000  0.500
V  0.000  0.500  0.500
V  0.500  0.000  0.000
V  0.500  0.500  0.000
O  0.046  0.750  0.381
O  0.194  0.560  0.811
O  0.194  0.940  0.811
O  0.306  0.060  0.311
O  0.306  0.440  0.311
O  0.454  0.250  0.881
O  0.546  0.750  0.119
O  0.694  0.560  0.689
O  0.694  0.940  0.689
O  0.806  0.060  0.189
O  0.806  0.440  0.189
O  0.954  0.250  0.619

- E (eV per atom) = -8.447
- formation energy (eV per atom) = -3.23

***

5.
DFT (GGA+U) results for a geometry-optimized CeVO3 structure.

Cell lengths 3.920, 3.920, 3.920 Å; angles 90.00, 90.00, 90.00 degrees
Atoms (fractional coordinates):
Ce  0.000  0.000  0.000
V  0.500  0.500  0.500
O  0.000  0.500  0.500
O  0.500  0.000  0.500
O  0.500  0.500  0.000

- E (eV per atom) = -8.185
- size of the total moment (μB/atom) = 0.214
- formation energy (eV per atom) = -2.96

***

6.
DFT (GGA+U) results for a geometry-optimized CeW2O8 structure.

Cell lengths 9.682, 9.682, 9.682 Å; angles 90.00, 90.00, 90.00 degrees
Atoms (fractional coordinates):
Ce  0.248  0.252  0.748
Ce  0.252  0.748  0.248
Ce  0.748  0.248  0.252
Ce  0.752  0.752  0.752
W  0.091  0.091  0.091
W  0.150  0.650  0.850
W  0.350  0.350  0.350
W  0.409  0.909  0.591
W  0.591  0.409  0.909
W  0.650  0.850  0.150
W  0.850  0.150  0.650
W  0.909  0.591  0.409
O  0.013  0.487  0.513
O  0.031  0.192  0.679
O  0.038  0.695  0.314
O  0.179  0.469  0.808
O  0.186  0.962  0.195
O  0.192  0.679  0.031
O  0.195  0.186  0.962
O  0.244  0.244  0.244
O  0.256  0.756  0.744
O  0.305  0.814  0.462
O  0.308  0.321  0.531
O  0.314  0.038  0.695
O  0.321  0.531  0.308
O  0.462  0.305  0.814
O  0.469  0.808  0.179
O  0.487  0.513  0.013
O  0.513  0.013  0.487
O  0.531  0.308  0.321
O  0.538  0.805  0.686
O  0.679  0.031  0.192
O  0.686  0.538  0.805
O  0.692  0.821  0.969
O  0.695  0.314  0.038
O  0.744  0.256  0.756
O  0.756  0.744  0.256
O  0.805  0.686  0.538
O  0.808  0.179  0.469
O  0.814  0.462  0.305
O  0.821  0.969  0.692
O  0.962  0.195  0.186
O  0.969  0.692  0.821
O  0.987  0.987  0.987

- E (eV per atom) = -7.749
- size of the total moment (μB/atom) = 0.000
- formation energy (eV per atom) = -2.56

***

7.
DFT (GGA+U) results for a geometry-optimized CeW2O8 structure.

Cell lengths 7.356, 7.356, 7.914 Å; angles 116.25, 116.25, 68.66 degrees
Atoms (fractional coordinates):
Ce  0.035  0.965  0.750
Ce  0.965  0.035  0.250
W  0.061  0.506  0.232
W  0.494  0.939  0.268
W  0.506  0.061  0.732
W  0.939  0.494  0.768
O  0.012  0.676  0.059
O  0.022  0.780  0.415
O  0.051  0.640  0.714
O  0.220  0.978  0.085
O  0.324  0.988  0.441
O  0.326  0.410  0.325
O  0.360  0.949  0.786
O  0.410  0.326  0.825
O  0.590  0.674  0.175
O  0.640  0.051  0.214
O  0.674  0.590  0.675
O  0.676  0.012  0.559
O  0.780  0.022  0.915
O  0.949  0.360  0.286
O  0.978  0.220  0.585
O  0.988  0.324  0.941

- E (eV per atom) = -7.761
- size of the total moment (μB/atom) = 0.000
- formation energy (eV per atom) = -2.57

***

8.
DFT (GGA+U) results for a geometry-optimized CeW2O8 structure.

Cell lengths 9.761, 14.554, 10.351 Å; angles 90.00, 90.00, 90.00 degrees
Atoms (fractional coordinates):
Ce  0.227  0.112  0.035
Ce  0.227  0.388  0.535
Ce  0.273  0.612  0.035
Ce  0.273  0.888  0.535
Ce  0.727  0.112  0.465
Ce  0.727  0.388  0.965
Ce  0.773  0.612  0.465
Ce  0.773  0.888  0.965
W  0.007  0.559  0.774
W  0.007  0.941  0.274
W  0.185  0.648  0.396
W  0.185  0.852  0.896
W  0.315  0.148  0.396
W  0.315  0.352  0.896
W  0.493  0.059  0.774
W  0.493  0.441  0.274
W  0.507  0.559  0.726
W  0.507  0.941  0.226
W  0.685  0.648  0.104
W  0.685  0.852  0.604
W  0.815  0.148  0.104
W  0.815  0.352  0.604
W  0.993  0.059  0.726
W  0.993  0.441  0.226
O  0.000  0.149  0.084
O  0.000  0.351  0.584
O  0.000  0.649  0.416
O  0.000  0.851  0.916
O  0.085  0.533  0.146
O  0.085  0.967  0.646
O  0.092  0.633  0.893
O  0.092  0.867  0.393
O  0.110  0.124  0.827
O  0.110  0.376  0.327
O  0.128  0.508  0.663
O  0.128  0.992  0.163
O  0.236  0.680  0.234
O  0.236  0.820  0.734
O  0.237  0.228  0.509
O  0.237  0.272  0.009
O  0.249  0.533  0.426
O  0.249  0.967  0.926
O  0.251  0.033  0.426
O  0.251  0.467  0.926
O  0.263  0.728  0.509
O  0.263  0.772  0.009
O  0.264  0.180  0.234
O  0.264  0.320  0.734
O  0.372  0.008  0.663
O  0.372  0.492  0.163
O  0.390  0.624  0.827
O  0.390  0.876  0.327
O  0.408  0.133  0.893
O  0.408  0.367  0.393
O  0.415  0.033  0.146
O  0.415  0.467  0.646
O  0.500  0.149  0.416
O  0.500  0.351  0.916
O  0.500  0.649  0.084
O  0.500  0.851  0.584
O  0.585  0.533  0.354
O  0.585  0.967  0.854
O  0.592  0.633  0.607
O  0.592  0.867  0.107
O  0.610  0.124  0.673
O  0.610  0.376  0.173
O  0.628  0.508  0.837
O  0.628  0.992  0.337
O  0.736  0.680  0.266
O  0.736  0.820  0.766
O  0.737  0.228  0.991
O  0.737  0.272  0.491
O  0.749  0.533  0.074
O  0.749  0.967  0.574
O  0.751  0.033  0.074
O  0.751  0.467  0.574
O  0.763  0.728  0.991
O  0.763  0.772  0.491
O  0.764  0.180  0.266
O  0.764  0.320  0.766
O  0.872  0.008  0.837
O  0.872  0.492  0.337
O  0.890  0.624  0.673
O  0.890  0.876  0.173
O  0.908  0.133  0.607
O  0.908  0.367  0.107
O  0.915  0.033  0.354
O  0.915  0.467  0.854

- E (eV per atom) = -7.739
- size of the total moment (μB/atom) = 0.000
- formation energy (eV per atom) = -2.55